[1]
An optimized crystal structure of Mn2Ni21B6. Source: the Materials Project database, functional PBE.

Unit cell a=7.3577 b=7.3577 c=7.3577 alpha=60.00 beta=60.00 gamma=60.00
Closest atoms and distances in Å follow each position.
Fractional coordinates of all 29 atoms:
1 B 0.7305 0.2695 0.2695  8 Ni 2.05-2.10
2 B 0.2695 0.7305 0.7305  8 Ni 2.05-2.10
3 B 0.7305 0.2695 0.7305  8 Ni 2.05-2.10
4 B 0.2695 0.7305 0.2695  8 Ni 2.05-2.10
5 B 0.7305 0.7305 0.2695  8 Ni 2.05-2.10
6 B 0.2695 0.2695 0.7305  8 Ni 2.05-2.10
7 Ni 0.3808 0.3808 0.8577  3 B 2.10
8 Ni 0.0000 0.0000 0.6597  2 B 2.05
9 Ni 0.1423 0.6192 0.6192  3 B 2.10
10 Ni 0.6192 0.6192 0.6192  3 B 2.10
11 Ni 0.3403 0.0000 0.6597  2 B 2.05
12 Ni 0.3808 0.3808 0.3808  3 B 2.10
13 Ni 0.0000 0.6597 0.3403  2 B 2.05
14 Ni 0.8577 0.3808 0.3808  3 B 2.10
15 Ni 0.6192 0.6192 0.1423  3 B 2.10
16 Ni 0.3403 0.0000 0.0000  2 B 2.05
17 Ni 0.6192 0.1423 0.6192  3 B 2.10
18 Ni 0.6597 0.3403 0.0000  2 B 2.05
19 Ni 0.0000 0.3403 0.0000  2 B 2.05
20 Ni 0.0000 0.6597 0.0000  2 B 2.05
21 Ni 0.3808 0.8577 0.3808  3 B 2.10
22 Ni 0.0000 0.3403 0.6597  2 B 2.05
23 Ni 0.0000 0.0000 0.0000  12 Ni 2.50
24 Ni 0.6597 0.0000 0.0000  2 B 2.05
25 Ni 0.0000 0.0000 0.3403  2 B 2.05
26 Ni 0.6597 0.0000 0.3403  2 B 2.05
27 Ni 0.3403 0.6597 0.0000  2 B 2.05
28 Mn 0.7500 0.7500 0.7500  4 Ni 2.36
29 Mn 0.2500 0.2500 0.2500  4 Ni 2.36

Calculated total energy ... -184.4 eV/cell
Energy relative to the elements ... -0.1599 eV/atom
Symmetry ... Fm-3m (225)

[2]
An optimized crystal structure of K3Ti2P5S18. Source: the Materials Project database, functional PBE.

Unit cell a=12.0036 b=12.0036 c=20.8594 alpha=74.64 beta=74.64 gamma=30.18
Closest atoms and distances in Å follow each position.
Fractional coordinates of all 56 atoms:
1 S 0.6006 0.8211 0.7916  1 P 1.97
2 S 0.5124 0.6398 0.2365  1 P 2.05
3 S 0.1819 0.3844 0.3841  1 P 2.06
4 S 0.3994 0.1789 0.2084  1 P 1.97
5 S 0.7782 0.6427 0.9473  2 P 2.15-2.16
6 S 0.1052 0.2214 0.1637  1 P 2.06
7 S 0.2214 0.1052 0.6637  1 P 2.06
8 S 0.6092 0.5341 0.4229  1 P 1.97
9 S 0.7786 0.8948 0.3363  1 P 2.06
10 S 0.8948 0.7786 0.8363  1 P 2.06
11 S 0.0504 0.9110 0.3349  1 P 2.06
12 S 0.0159 0.2492 0.5137  1 P 2.06
13 S 0.5341 0.6092 0.9229  1 P 1.97
14 S 0.7508 0.9841 0.9863  1 P 2.06
15 S 0.8211 0.6006 0.2916  1 P 1.97
16 S 0.3238 0.4859 0.9259  1 P 2.06
17 S 0.9841 0.7508 0.4863  1 P 2.06
18 S 0.2218 0.3573 0.0527  2 P 2.15-2.16
19 S 0.3573 0.2218 0.5527  2 P 2.15-2.16
20 S 0.6398 0.5124 0.7365  1 P 2.05
21 S 0.3908 0.4659 0.5771  1 P 1.97
22 S 0.4876 0.3602 0.7635  1 P 2.05
23 S 0.0890 0.9496 0.1651  1 P 2.06
24 S 0.3602 0.4876 0.2635  1 P 2.05
25 S 0.9110 0.0504 0.8349  1 P 2.06
26 S 0.9496 0.0890 0.6651  1 P 2.06
27 S 0.6762 0.5141 0.0741  1 P 2.06
28 S 0.6427 0.7782 0.4473  2 P 2.15-2.16
29 S 0.4659 0.3908 0.0771  1 P 1.97
30 S 0.8181 0.6156 0.6159  1 P 2.06
31 S 0.5141 0.6762 0.5741  1 P 2.06
32 S 0.4859 0.3238 0.4259  1 P 2.06
33 S 0.1789 0.3994 0.7084  1 P 1.97
34 S 0.2492 0.0159 0.0137  1 P 2.06
35 S 0.3844 0.1819 0.8841  1 P 2.06
36 S 0.6156 0.8181 0.1159  1 P 2.06
37 Ti 0.1418 0.6236 0.3712  6 S 2.41-2.49
38 Ti 0.6236 0.1418 0.8712  6 S 2.41-2.49
39 Ti 0.3764 0.8582 0.1288  6 S 2.41-2.49
40 Ti 0.8582 0.3764 0.6288  6 S 2.41-2.49
41 K 0.0000 0.0000 0.0000  6 S 3.25-3.62
42 K 0.0416 0.2699 0.8268  8 S 3.36-3.73
43 K 0.7301 0.9584 0.6732  8 S 3.36-3.73
44 K 0.0000 0.0000 0.5000  6 S 3.25-3.62
45 K 0.9584 0.7301 0.1732  8 S 3.36-3.73
46 K 0.2699 0.0416 0.3268  8 S 3.36-3.73
47 P 0.6519 0.8606 0.8587  4 S 1.97-2.15
48 P 0.3481 0.1394 0.1413  4 S 1.97-2.15
49 P 0.8606 0.6519 0.3587  4 S 1.97-2.15
50 P 0.3031 0.4514 0.5162  4 S 1.97-2.16
51 P 0.2539 0.7461 0.2500  4 S 2.05-2.06
52 P 0.1394 0.3481 0.6413  4 S 1.97-2.15
53 P 0.7461 0.2539 0.7500  4 S 2.05-2.06
54 P 0.4514 0.3031 0.0162  4 S 1.97-2.16
55 P 0.5486 0.6969 0.9838  4 S 1.97-2.16
56 P 0.6969 0.5486 0.4838  4 S 1.97-2.16

Calculated total energy ... -280.4 eV/cell
Energy relative to the elements ... -1.0214 eV/atom
Symmetry ... C2/c (15)

[3]
An optimized crystal structure of Mg2P2H4O9. Source: the Materials Project database, functional PBE.

Unit cell a=6.3780 b=7.4939 c=14.1653 alpha=90.00 beta=90.00 gamma=94.37
Closest atoms and distances in Å follow each position.
Fractional coordinates of all 68 atoms:
1 P 0.2424 0.8493 0.5871  4 O 1.51-1.63
2 P 0.9364 0.0697 0.8106  4 O 1.53-1.62
3 P 0.5636 0.4303 0.3106  4 O 1.53-1.62
4 P 0.7576 0.1507 0.4129  4 O 1.51-1.63
5 P 0.4364 0.5697 0.6894  4 O 1.53-1.62
6 P 0.0636 0.9303 0.1894  4 O 1.53-1.62
7 P 0.7424 0.3493 0.9129  4 O 1.51-1.63
8 P 0.2576 0.6507 0.0871  4 O 1.51-1.63
9 Mg 0.0472 0.3483 0.2485  6 O 2.08-2.16
10 Mg 0.7347 0.9223 0.6120  5 O 2.03-2.14
11 Mg 0.2347 0.4223 0.8880  5 O 2.03-2.14
12 Mg 0.2653 0.0777 0.3880  5 O 2.03-2.14
13 Mg 0.9528 0.6517 0.7515  6 O 2.08-2.16
14 Mg 0.4528 0.1517 0.7485  6 O 2.08-2.16
15 Mg 0.7653 0.5777 0.1120  5 O 2.03-2.14
16 Mg 0.5472 0.8483 0.2515  6 O 2.08-2.16
17 O 0.4667 0.6616 0.1417  1 P 1.54
18 O 0.2255 0.9104 0.2695  1 P 1.55
19 O 0.7745 0.0896 0.7305  1 P 1.55
20 O 0.9675 0.8764 0.8384  1 P 1.53
21 O 0.5333 0.3384 0.8583  1 P 1.54
22 O 0.0868 0.5240 0.1345  1 P 1.54
23 O 0.4132 0.9760 0.6345  1 P 1.54
24 O 0.0325 0.1236 0.1616  1 P 1.53
25 O 0.1414 0.1852 0.7897  1 P 1.54
26 O 0.2137 0.8760 0.4824  1 P 1.51
27 O 0.0532 0.5600 0.3526  2 H 0.98
28 O 0.7736 0.7725 0.0057  2 H 0.98-0.99
29 O 0.8586 0.8148 0.2103  1 P 1.54
30 O 0.8330 0.1524 0.9039  2 P 1.62-1.63
31 O 0.9468 0.4400 0.6474  2 H 0.98
32 O 0.7137 0.3760 0.0176  1 P 1.51
33 O 0.3586 0.3148 0.2897  1 P 1.54
34 O 0.1670 0.8476 0.0961  2 P 1.62-1.63
35 O 0.4675 0.3764 0.6616  1 P 1.53
36 O 0.4468 0.9400 0.8526  2 H 0.98
37 O 0.5532 0.0600 0.1474  2 H 0.98
38 O 0.9667 0.1616 0.3583  1 P 1.54
39 O 0.5868 0.0240 0.3655  1 P 1.54
40 O 0.6414 0.6852 0.7103  1 P 1.54
41 O 0.5325 0.6236 0.3384  1 P 1.53
42 O 0.7264 0.7275 0.5057  2 H 0.98-0.99
43 O 0.2264 0.2275 0.9943  2 H 0.98-0.99
44 O 0.6670 0.3476 0.4039  2 P 1.62-1.63
45 O 0.2863 0.6240 0.9824  1 P 1.51
46 O 0.2745 0.5896 0.7695  1 P 1.55
47 O 0.0333 0.8384 0.6417  1 P 1.54
48 O 0.9132 0.4760 0.8655  1 P 1.54
49 O 0.2736 0.2725 0.4943  2 H 0.98-0.99
50 O 0.7863 0.1240 0.5176  1 P 1.51
51 O 0.3330 0.6524 0.5961  2 P 1.62-1.63
52 O 0.7255 0.4104 0.2305  1 P 1.55
53 H 0.5302 0.1744 0.1781  1 O 0.98
54 H 0.1333 0.2966 0.5158  1 O 0.98
55 H 0.4698 0.8256 0.8219  1 O 0.98
56 H 0.6878 0.0826 0.1150  1 O 0.98
57 H 0.3666 0.3018 0.5491  1 O 0.99
58 H 0.0302 0.6744 0.3219  1 O 0.98
59 H 0.8666 0.8018 0.9509  1 O 0.99
60 H 0.3667 0.2034 0.0158  1 O 0.98
61 H 0.9698 0.3256 0.6781  1 O 0.98
62 H 0.1878 0.5826 0.3850  1 O 0.98
63 H 0.3122 0.9174 0.8850  1 O 0.98
64 H 0.6334 0.6982 0.4509  1 O 0.99
65 H 0.8667 0.7034 0.4842  1 O 0.98
66 H 0.6333 0.7966 0.9842  1 O 0.98
67 H 0.1334 0.1982 0.0491  1 O 0.99
68 H 0.8122 0.4174 0.6150  1 O 0.98

Calculated total energy ... -425.7 eV/cell
Energy relative to the elements ... -2.3813 eV/atom
Symmetry ... P2_1/c (14)

[4]
An optimized crystal structure of MgSi2. Source: the Materials Project database, functional PBE.

Unit cell a=8.6955 b=8.6955 c=7.0002 alpha=86.09 beta=86.09 gamma=24.99
Closest atoms and distances in Å follow each position.
Fractional coordinates of all 12 atoms:
1 Mg 0.6998 0.6998 0.4074  7 Si 2.73-2.86
2 Mg 0.1921 0.1921 0.0542  6 Si 2.78-2.94
3 Mg 0.4692 0.4692 0.6172  8 Si 2.80-3.05, 2 Mg 3.13
4 Mg 0.9732 0.9732 0.9735  6 Si 2.69-2.80
5 Si 0.2900 0.2900 0.6094  4 Si 2.40-2.64
6 Si 0.8454 0.8454 0.7658  3 Si 2.40-2.45
7 Si 0.3721 0.3721 0.2758  4 Si 2.44-2.64
8 Si 0.1395 0.1395 0.6874  4 Si 2.43-2.57
9 Si 0.0752 0.0752 0.3849  3 Si 2.40-2.45
10 Si 0.5203 0.5203 0.2285  4 Si 2.40-2.63
11 Si 0.8148 0.8148 0.1136  3 Si 2.44-2.45
12 Si 0.5909 0.5909 0.8823  3 Si 2.43-2.63

Calculated total energy ... -48.3 eV/cell
Energy relative to the elements ... 0.1724 eV/atom
Symmetry ... Cm (8)

[5]
An optimized crystal structure of Cs2MnS2. Source: the Materials Project database, functional PBE.

Unit cell a=8.5431 b=8.5431 c=8.5431 alpha=135.07 beta=128.23 gamma=70.93
Closest atoms and distances in Å follow each position.
Fractional coordinates of all 10 atoms:
1 Cs 0.8093 0.1487 0.6606  6 S 3.57-3.90, 2 Mn 3.65
2 Cs 0.4881 0.6487 0.8394  6 S 3.57-3.90, 2 Mn 3.65
3 Cs 0.5119 0.3513 0.1606  6 S 3.57-3.90, 2 Mn 3.65
4 Cs 0.1907 0.8513 0.3394  6 S 3.57-3.90, 2 Mn 3.65
5 Mn 0.0000 0.7500 0.7500  4 S 2.46
6 Mn 0.0000 0.2500 0.2500  4 S 2.46
7 S 0.7330 0.9066 0.8264  2 Mn 2.46
8 S 0.0802 0.4066 0.6736  2 Mn 2.46
9 S 0.2670 0.0934 0.1736  2 Mn 2.46
10 S 0.9198 0.5934 0.3264  2 Mn 2.46

Calculated total energy ... -48.0 eV/cell
Energy relative to the elements ... -1.1514 eV/atom
Symmetry ... Ibam (72)

[6]
An optimized crystal structure of PtC. Source: the Materials Project database, functional PBE.

Unit cell a=3.3443 b=3.3443 c=3.3443 alpha=60.00 beta=60.00 gamma=60.00
Closest atoms and distances in Å follow each position.
Fractional coordinates of all 2 atoms:
1 Pt 0.2500 0.2500 0.2500  4 C 2.05
2 C 0.0000 0.0000 0.0000  4 Pt 2.05

Calculated total energy ... -13.5 eV/cell
Energy relative to the elements ... 0.9112 eV/atom
Symmetry ... F-43m (216)

Which of these has the lowest energy relative to the elements?
Mg2P2H4O9

calculated total energy of number 2 (K3Ti2P5S18)?
-280.4 eV/cell

Which of these has the lowest energy relative to the elements?
Mg2P2H4O9